# 1
A relaxed Ba2InBiSe5 crystal, computed with PBE.

Geometry as extended XYZ:
```
18
Lattice="2.190 -9.728 0.000 2.190 9.728 0.000 0.000 0.000 13.428" Properties=species:S:1:pos:R:3 pbc="T T T"
Ba 2.190 7.526 6.714
Ba 2.190 7.234 1.694
Ba 2.190 -7.234 8.408
Ba 2.190 -7.526 0.000
In 2.190 1.152 3.459
In 2.190 -1.152 10.173
Bi 2.190 5.500 11.238
Bi 2.190 -5.500 4.524
Se 2.190 8.835 11.680
Se 2.190 4.213 6.476
Se 2.190 3.647 2.441
Se 2.190 2.758 10.952
Se 2.190 0.066 7.901
Se 2.190 -0.066 1.187
Se 2.190 -2.758 4.238
Se 2.190 -3.647 9.155
Se 2.190 -4.213 13.190
Se 2.190 -8.835 4.966
```

Calculated values
SG ... Cmc2_1

---

# 2
A relaxed Ba4BiIr3O12 crystal, computed with PBE.

Geometry as extended XYZ:
```
60
Lattice="5.194 -2.993 0.000 5.194 2.993 0.000 -2.100 0.000 30.093" Properties=species:S:1:pos:R:3 pbc="T T T"
Ba -0.414 0.000 6.531
Ba -1.262 0.000 18.905
Ba 2.395 0.000 13.558
Ba 2.766 0.000 8.935
Ba 3.364 0.000 1.182
Ba 1.740 0.000 26.488
Ba 6.547 0.000 3.605
Ba 4.923 0.000 28.911
Ba 5.521 0.000 21.158
Ba 5.892 0.000 16.536
Ba 9.549 0.000 11.188
Ba 8.701 0.000 23.562
Bi -1.050 0.000 15.047
Bi 3.063 0.000 5.051
Bi 5.224 0.000 25.042
Ir 0.000 0.000 0.000
Ir -1.733 0.000 27.515
Ir 1.773 0.000 22.599
Ir 2.102 0.000 20.047
Ir 2.431 0.000 17.489
Ir 5.856 0.000 12.605
Ir 6.185 0.000 10.047
Ir 6.514 0.000 7.494
Ir 10.020 0.000 2.578
O 2.362 1.556 6.583
O 1.443 1.385 18.688
O 0.950 0.000 4.060
O 3.778 1.568 3.511
O 2.459 1.621 28.707
O -0.353 0.000 29.051
O 0.364 0.000 21.097
O 2.755 1.386 21.400
O 3.478 1.432 16.587
O 1.083 0.000 16.036
O 5.828 1.621 1.386
O 4.809 1.432 13.506
O 4.509 1.568 26.582
O 5.532 1.386 8.694
O 3.121 0.000 24.045
O 5.925 1.556 23.510
O 1.443 -1.385 18.688
O 3.843 0.000 18.999
O 4.444 0.000 11.094
O 6.845 1.385 11.405
O 2.362 -1.556 6.583
O 5.166 0.000 6.049
O 2.755 -1.386 21.400
O 3.778 -1.568 3.511
O 3.478 -1.432 16.587
O 2.459 -1.621 28.707
O 7.204 0.000 14.057
O 4.809 -1.432 13.506
O 5.532 -1.386 8.694
O 7.923 0.000 8.996
O 8.641 0.000 1.043
O 5.828 -1.621 1.386
O 4.509 -1.568 26.582
O 7.337 0.000 26.033
O 6.845 -1.385 11.405
O 5.925 -1.556 23.510
```

Calculated values
SG ... C2/m

---

# 3
A relaxed KBa2Bi2O7 crystal, computed with PBE.

Geometry as extended XYZ:
```
12
Lattice="-2.186 2.186 11.159 2.186 -2.186 11.159 2.186 2.186 -11.159" Properties=species:S:1:pos:R:3 pbc="T T T"
K 0.000 0.000 0.000
Ba 0.000 0.000 13.948
Ba 0.000 0.000 18.275
Bi 0.000 0.000 4.835
Bi 0.000 0.000 9.310
O 0.000 0.000 2.716
O 2.186 0.000 4.852
O 0.000 0.000 7.002
O 2.186 0.000 9.009
O 0.000 0.000 11.404
O 0.000 2.186 4.852
O 0.000 2.186 9.009
```

Calculated values
SG ... I4mm

---

# 4
A relaxed KBaPrBiO6 crystal, computed with PBE.

Geometry as extended XYZ:
```
10
Lattice="0.000 4.467 4.467 4.467 0.000 4.467 4.467 4.467 0.000" Properties=species:S:1:pos:R:3 pbc="T T T"
K 0.000 0.000 0.000
Ba 4.467 4.467 4.467
Pr 6.700 6.700 6.700
Bi 2.233 2.233 2.233
O 2.233 2.233 0.106
O 2.233 0.106 2.233
O 4.361 2.233 2.233
O 0.106 2.233 2.233
O 2.233 4.361 2.233
O 2.233 2.233 4.361
```

Calculated values
Energy relative to the lowest polymorph listed for this composition ... 0.82 kJ per mole of atoms
SG ... F-43m

---

no.,DFT total energy (eV/atom),spin magnetization (Bohr magnetons per cell)
1,-4.315,0.0
2,-6.551,0.3
3,-5.668,0.0
4,-6.044,1.0